Sr4Cu3ClO6 | PBE | relaxed

Formation enthalpy at 0 K: -2.031 eV per atom

Unit cell a=6.671 b=6.671 c=6.671 alpha=109.47 beta=109.47 gamma=109.47
Sites, in units of the cell vectors:
O: 0.750 0.250 0.500
O: 0.750 0.500 0.250
Cl: 0.000 0.000 0.000
O: 0.250 0.500 0.750
Sr: 0.000 0.500 0.000
Cu: 0.500 0.000 0.500
Sr: 0.500 0.500 0.500
Cu: 0.000 0.500 0.500
O: 0.500 0.750 0.250
O: 0.500 0.250 0.750
Sr: 0.500 0.000 0.000
O: 0.250 0.750 0.500
Cu: 0.500 0.500 0.000
Sr: 0.000 0.000 0.500


SrCu2Te2Cl2O6 | PBE | relaxed

Formation enthalpy at 0 K: -1.555 eV per atom

Unit cell a=7.374 b=7.303 c=8.384 alpha=83.27 beta=90.00 gamma=90.00
Sites, in units of the cell vectors:
O: 0.131 0.371 0.124
Te: 0.321 0.149 0.267
O: 0.347 0.692 0.115
O: 0.583 0.962 0.743
Cl: 0.728 0.953 0.116
O: 0.083 0.038 0.257
O: 0.294 0.298 0.442
O: 0.794 0.702 0.558
O: 0.579 0.359 0.658
Cl: 0.704 0.399 0.268
O: 0.631 0.629 0.876
O: 0.847 0.308 0.885
O: 0.402 0.962 0.435
Cu: 0.944 0.181 0.085
Sr: 0.954 0.374 0.560
Cu: 0.444 0.819 0.915
Te: 0.821 0.851 0.733
Cl: 0.228 0.047 0.884
Te: 0.596 0.369 0.885
Cu: 0.962 0.861 0.413
Cu: 0.462 0.139 0.587
Sr: 0.454 0.626 0.440
O: 0.079 0.641 0.342
O: 0.902 0.038 0.565
Te: 0.096 0.631 0.115
Cl: 0.204 0.601 0.732


YCu6ClO8 | PBE | relaxed

Formation enthalpy at 0 K: -1.431 eV per atom

Unit cell a=6.571 b=6.571 c=6.571 alpha=60.00 beta=60.00 gamma=60.00
Sites, in units of the cell vectors:
O: 0.856 0.433 0.856
Cl: 0.500 0.500 0.500
Cu: 0.500 0.000 0.500
O: 0.856 0.856 0.433
O: 0.144 0.567 0.144
O: 0.433 0.856 0.856
O: 0.144 0.144 0.144
Cu: 0.000 0.500 0.500
O: 0.567 0.144 0.144
Cu: 0.000 0.000 0.500
Cu: 0.500 0.000 0.000
Cu: 0.500 0.500 0.000
Cu: 0.000 0.500 0.000
O: 0.144 0.144 0.567
Y: 0.000 0.000 0.000
O: 0.856 0.856 0.856


ZnCu3Cl2O6 | PBE | relaxed

Formation enthalpy at 0 K: -0.648 eV per atom

Unit cell a=6.155 b=6.155 c=5.240 alpha=90.00 beta=90.00 gamma=120.00
Sites, in units of the cell vectors:
O: 0.368 0.184 0.149
O: 0.816 0.632 0.149
Zn: 0.000 0.000 0.000
Cl: 0.667 0.333 0.615
O: 0.816 0.184 0.149
Cu: 0.500 0.000 0.000
O: 0.632 0.816 0.851
O: 0.184 0.816 0.851
Cu: 0.000 0.500 0.000
Cl: 0.333 0.667 0.385
Cu: 0.500 0.500 0.000
O: 0.184 0.368 0.851